The following is a DFT calculation (meta-GGA r2SCAN) of crystalline Er2CdIn at its relaxed geometry. Values from VASP.

```
&SYSTEM
  ibrav = 0, nat = 4, ntyp = 3
/
ATOMIC_SPECIES
In 114.82 In.upf
Cd 112.41 Cd.upf
Er 167.26 Er.upf
CELL_PARAMETERS angstrom
-3.3051 1.9676 3.5360
-4.9149 1.1325 -1.3640
-3.9469 -2.9161 1.7937
ATOMIC_POSITIONS crystal
In 0.7500 0.7500 0.7500
Cd 0.2500 0.2500 0.2500
Er 0.0000 0.0000 0.0000
Er 0.5000 0.5000 0.5000
```

Computed properties:
Magnetic moment   0.00 μB per formula unit
Symmetry   Fm-3m
Final energy   -28.1161 eV per atom